# 1
Entry from the Materials Project database: PrGe4Rh6 after structural relaxation (PBE).

Geometry as extended XYZ:
```
11
Lattice="-4.676 2.091 -5.111 -2.179 -0.588 6.875 0.981 3.735 0.631" Properties=species:S:1:pos:R:3 pbc="T T T"
Rh -5.382 1.677 -1.562
Rh -3.510 0.840 0.484
Rh -4.049 2.649 2.751
Rh -2.638 1.076 -2.268
Rh -2.189 1.817 4.784
Rh -1.323 2.051 2.050
Ge -3.011 0.305 2.880
Ge -4.570 3.189 0.364
Ge -3.689 3.426 -2.415
Ge -1.800 2.581 -0.349
Pr 0.000 0.000 0.000
```

Energy of formation from the pure elements ... -736.2 meV/atom
Symmetry ... P-6m2, No. 187

# 2
Entry from the Materials Project database: Pr2Ge5Rh3 after structural relaxation (PBE).

Geometry as extended XYZ:
```
20
Lattice="-3.047 5.097 6.094 3.047 -5.097 6.094 3.047 5.097 -6.094" Properties=species:S:1:pos:R:3 pbc="T T T"
Ge 4.570 0.000 2.703
Ge 1.523 5.097 0.000
Ge 3.047 -3.456 4.883
Ge 1.523 0.000 6.094
Ge 3.047 1.642 1.211
Ge 0.000 8.553 1.211
Ge 0.000 3.456 4.883
Ge -1.523 5.097 3.391
Ge 1.523 5.097 3.391
Ge 1.523 0.000 2.703
Pr 0.000 2.361 7.719
Pr 3.047 2.361 4.469
Pr 0.000 2.736 1.625
Pr 3.047 2.736 -1.625
Rh 3.047 -1.072 4.378
Rh 0.000 1.072 4.378
Rh 4.570 0.000 0.000
Rh 0.000 6.170 1.716
Rh 3.047 4.025 1.716
Rh 1.523 0.000 0.000
```

Energy of formation from the pure elements ... -816.2 meV/atom
Symmetry ... Ibam, No. 72

# 3
Entry from the Materials Project database: Pr3Ge2Rh2 after structural relaxation (PBE).

Geometry as extended XYZ:
```
28
Lattice="-2.257 -3.356 -4.117 6.108 2.102 -5.062 7.300 -10.411 4.485" Properties=species:S:1:pos:R:3 pbc="T T T"
Rh 4.853 -5.209 -3.430
Rh 2.537 -1.907 -4.853
Rh 2.341 -5.454 0.090
Rh 8.614 -9.757 0.159
Rh 0.026 -2.152 -1.332
Rh 11.126 -9.512 -3.361
Rh 6.299 -6.455 -1.264
Rh 8.810 -6.210 -4.784
Ge 0.079 -1.627 -3.907
Ge 3.607 -4.177 -5.433
Ge 2.125 -2.891 -0.036
Ge 7.422 -4.831 -3.030
Ge 9.027 -8.773 -4.658
Ge 7.544 -7.488 0.740
Ge 3.772 0.374 -5.272
Ge 3.729 -6.833 -1.664
Pr 5.599 -2.218 -4.130
Pr 4.253 -2.025 -7.565
Pr 6.442 -5.145 -6.221
Pr 5.552 -9.446 -0.564
Pr 8.368 -10.944 -2.550
Pr 6.898 -9.639 2.871
Pr 1.889 -4.245 -2.796
Pr 9.262 -7.419 -1.898
Pr 4.710 -6.519 1.527
Pr 4.972 -3.841 -0.800
Pr 2.784 -0.720 -2.144
Pr 6.180 -7.824 -3.894
```

Energy of formation from the pure elements ... -825.9 meV/atom
Symmetry ... Pbcm, No. 57

# 4
Entry from the Materials Project database: PrGeRu after structural relaxation (PBE).

Geometry as extended XYZ:
```
6
Lattice="4.319 0.000 0.000 0.000 4.319 0.000 0.000 0.000 6.977" Properties=species:S:1:pos:R:3 pbc="T T T"
Ru 2.160 2.160 0.000
Ru 0.000 0.000 0.000
Pr 2.160 0.000 2.200
Pr 0.000 2.160 4.777
Ge 2.160 0.000 5.654
Ge 0.000 2.160 1.322
```

Energy of formation from the pure elements ... -657.8 meV/atom
Symmetry ... P4/nmm, No. 129

> Among the records above, which one has the lowest energy of formation from the pure elements?

Pr3Ge2Rh2

> Which of these has the highest energy of formation from the pure elements?

PrGeRu

> Among the records above, which one has the highest energy of formation from the pure elements?

PrGeRu